[1]
# PBE-GGA NaSr2LaTi4O12, relaxed
# M_tot: 0.00 μB per cell
# space group: I4/mmm
# polymorph energy (0 for the lowest one): 0.005 eV per atom
# formation enthalpy at 0 K: -3486 meV/atom
data_NaSr2LaTi4O12
_chemical_formula_sum 'Na1 Sr2 La1 Ti4 O12'
_cell_length_a 8.781
_cell_length_b 8.781
_cell_length_c 8.781
_cell_angle_alpha 143.12
_cell_angle_beta 143.12
_cell_angle_gamma 53.14
_space_group_name_H-M_alt 'P 1'
_space_group_IT_number 1
_space_group_name_Hall 'P 1'
loop_
_atom_site_label
_atom_site_type_symbol
_atom_site_fract_x
_atom_site_fract_y
_atom_site_fract_z
_atom_site_occupancy
O1 O 0.632 0.120 0.000 1
O2 O 0.880 0.880 0.512 1
Sr1 Sr 0.251 0.251 0.000 1
O3 O 0.368 0.368 0.488 1
O4 O 0.750 0.250 0.500 1
O5 O 0.000 0.500 0.500 1
O6 O 0.120 0.120 0.488 1
O7 O 0.880 0.368 0.000 1
O8 O 0.632 0.632 0.512 1
Ti1 Ti 0.624 0.124 0.500 1
Ti2 Ti 0.376 0.876 0.500 1
Ti3 Ti 0.124 0.624 0.500 1
O9 O 0.120 0.632 0.000 1
La1 La 0.000 0.000 0.000 1
O10 O 0.368 0.880 0.000 1
Na1 Na 0.500 0.500 0.000 1
O11 O 0.250 0.750 0.500 1
Ti4 Ti 0.876 0.376 0.500 1
O12 O 0.500 0.000 0.500 1
Sr2 Sr 0.749 0.749 0.000 1

***

[2]
# PBE-GGA Na3Sr4La3Ti10O30, relaxed
# M_tot: 0.00 μB per cell
# space group: P1
# formation enthalpy at 0 K: -3480 meV/atom
data_Na3Sr4La3Ti10O30
_chemical_formula_sum 'Na3 Sr4 La3 Ti10 O30'
_cell_length_a 5.544
_cell_length_b 5.549
_cell_length_c 19.905
_cell_angle_alpha 97.94
_cell_angle_beta 97.93
_cell_angle_gamma 90.44
_space_group_name_H-M_alt 'P 1'
_space_group_IT_number 1
_space_group_name_Hall 'P 1'
loop_
_atom_site_label
_atom_site_type_symbol
_atom_site_fract_x
_atom_site_fract_y
_atom_site_fract_z
_atom_site_occupancy
O1 O 0.053 0.035 0.584 1
Na1 Na 0.746 0.246 0.499 1
O2 O 0.528 0.530 0.101 1
Na2 Na 0.149 0.643 0.300 1
O3 O 0.654 0.152 0.798 1
O4 O 0.555 0.057 0.600 1
O5 O 0.111 0.123 0.302 1
O6 O 0.448 0.951 0.401 1
O7 O 0.148 0.646 0.798 1
O8 O 0.310 0.318 0.699 1
Ti1 Ti 0.295 0.297 0.598 1
O9 O 0.683 0.697 0.302 1
O10 O 0.756 0.755 0.009 1
O11 O 0.656 0.633 0.786 1
O12 O 0.848 0.349 0.202 1
O13 O 0.454 0.436 0.385 1
Ti2 Ti 0.197 0.191 0.400 1
La1 La 0.649 0.141 0.300 1
O14 O 0.843 0.852 0.191 1
O15 O 0.367 0.352 0.214 1
O16 O 0.753 0.252 0.000 1
O17 O 0.560 0.559 0.615 1
O18 O 0.359 0.860 0.203 1
O19 O 0.285 0.302 0.500 1
O20 O 0.926 0.928 0.899 1
O21 O 0.250 0.749 0.000 1
O22 O 0.249 0.244 0.991 1
Sr1 Sr 0.049 0.551 0.101 1
O23 O 0.152 0.160 0.810 1
Ti3 Ti 0.999 0.002 0.998 1
O24 O 0.473 0.475 0.899 1
O25 O 0.957 0.461 0.401 1
La2 La 0.846 0.350 0.697 1
Ti4 Ti 0.697 0.690 0.399 1
Ti5 Ti 0.898 0.906 0.796 1
O26 O 0.961 0.961 0.416 1
O27 O 0.704 0.719 0.500 1
Ti6 Ti 0.097 0.095 0.200 1
Ti7 Ti 0.600 0.596 0.201 1
Ti8 Ti 0.393 0.402 0.796 1
Sr2 Sr 0.949 0.453 0.899 1
Ti9 Ti 0.794 0.797 0.598 1
O28 O 0.883 0.893 0.699 1
Na3 Na 0.347 0.850 0.698 1
O29 O 0.075 0.076 0.101 1
O30 O 0.046 0.548 0.600 1
Sr3 Sr 0.550 0.050 0.099 1
La3 La 0.246 0.746 0.499 1
Ti10 Ti 0.499 0.503 0.998 1
Sr4 Sr 0.448 0.953 0.897 1

***

[3]
# PBE-GGA Na3Sr4La3Ti10O30, relaxed
# M_tot: 0.00 μB per cell
# space group: Fmm2
# formation enthalpy at 0 K: -3479 meV/atom
data_Na3Sr4La3Ti10O30
_chemical_formula_sum 'Na3 Sr4 La3 Ti10 O30'
_cell_length_a 5.554
_cell_length_b 27.764
_cell_length_c 7.889
_cell_angle_alpha 44.73
_cell_angle_beta 135.26
_cell_angle_gamma 120.30
_space_group_name_H-M_alt 'P 1'
_space_group_IT_number 1
_space_group_name_Hall 'P 1'
loop_
_atom_site_label
_atom_site_type_symbol
_atom_site_fract_x
_atom_site_fract_y
_atom_site_fract_z
_atom_site_occupancy
Sr1 Sr 0.500 0.100 0.248 1
O1 O 0.951 0.101 0.221 1
Sr2 Sr 0.500 0.102 0.744 1
Ti1 Ti 0.999 0.599 0.002 1
Ti2 Ti 0.003 0.203 0.995 1
Ti3 Ti 0.001 0.599 0.503 1
O2 O 0.500 0.384 0.296 1
O3 O 0.500 0.417 0.716 1
Ti4 Ti 0.000 0.000 0.000 1
O4 O 0.500 0.810 0.725 1
O5 O 0.500 0.991 0.274 1
O6 O 0.500 0.190 0.273 1
O7 O 0.923 0.302 0.202 1
Ti5 Ti 0.999 0.401 0.498 1
O8 O 0.000 0.000 0.750 1
O9 O 0.000 0.599 0.252 1
Sr3 Sr 0.500 0.900 0.250 1
O10 O 0.500 0.583 0.300 1
Ti6 Ti 0.000 0.000 0.500 1
Na1 Na 0.500 0.699 0.252 1
Na2 Na 0.500 0.301 0.249 1
Ti7 Ti 0.001 0.401 0.999 1
O11 O 0.000 0.599 0.752 1
O12 O 0.917 0.500 0.201 1
La1 La 0.500 0.500 0.750 1
La2 La 0.500 0.301 0.750 1
O13 O 0.000 0.401 0.749 1
O14 O 0.500 0.009 0.727 1
O15 O 0.987 0.797 0.751 1
Ti8 Ti 0.003 0.797 0.508 1
La3 La 0.500 0.699 0.754 1
O16 O 0.500 0.616 0.718 1
O17 O 0.013 0.203 0.749 1
O18 O 0.951 0.899 0.227 1
O19 O 0.500 0.215 0.719 1
O20 O 0.923 0.698 0.210 1
O21 O 0.077 0.698 0.787 1
O22 O 0.000 0.401 0.248 1
O23 O 0.000 0.000 0.250 1
O24 O 0.077 0.302 0.779 1
O25 O 0.500 0.785 0.296 1
Sr4 Sr 0.500 0.898 0.752 1
O26 O 0.013 0.797 0.264 1
O27 O 0.049 0.101 0.770 1
O28 O 0.987 0.203 0.236 1
Na3 Na 0.500 0.500 0.250 1
O29 O 0.049 0.899 0.776 1
Ti9 Ti 0.997 0.203 0.492 1
Ti10 Ti 0.997 0.797 0.005 1
O30 O 0.083 0.500 0.784 1

***

[4]
# PBE-GGA NaSr3LaTi5O15, relaxed
# M_tot: 0.00 μB per cell
# space group: I-42m
# formation enthalpy at 0 K: -3503 meV/atom
data_NaSr3LaTi5O15
_chemical_formula_sum 'Na2 Sr6 La2 Ti10 O30'
_cell_length_a 20.106
_cell_length_b 20.106
_cell_length_c 20.106
_cell_angle_alpha 164.17
_cell_angle_beta 164.17
_cell_angle_gamma 22.45
_space_group_name_H-M_alt 'P 1'
_space_group_IT_number 1
_space_group_name_Hall 'P 1'
loop_
_atom_site_label
_atom_site_type_symbol
_atom_site_fract_x
_atom_site_fract_y
_atom_site_fract_z
_atom_site_occupancy
O1 O 0.720 0.720 0.540 1
O2 O 0.179 0.179 0.460 1
Sr1 Sr 0.899 0.899 0.000 1
Ti1 Ti 0.550 0.050 0.500 1
Ti2 Ti 0.349 0.849 0.500 1
O3 O 0.625 0.073 0.000 1
La1 La 0.700 0.700 0.000 1
O4 O 0.799 0.299 0.500 1
Ti3 Ti 0.950 0.450 0.500 1
Na1 Na 0.200 0.200 0.000 1
Na2 Na 0.800 0.800 0.000 1
O5 O 0.073 0.625 0.000 1
O6 O 0.135 0.135 0.574 1
O7 O 0.545 0.545 0.593 1
Sr2 Sr 0.000 0.000 0.000 1
O8 O 0.953 0.953 0.407 1
O9 O 0.500 0.000 0.500 1
O10 O 0.899 0.399 0.500 1
Ti4 Ti 0.750 0.250 0.500 1
O11 O 0.201 0.701 0.500 1
O12 O 0.865 0.439 0.000 1
O13 O 0.220 0.680 0.000 1
O14 O 0.780 0.780 0.460 1
O15 O 0.299 0.799 0.500 1
O16 O 0.047 0.455 0.000 1
O17 O 0.701 0.201 0.500 1
Ti5 Ti 0.450 0.950 0.500 1
O18 O 0.680 0.220 0.000 1
O19 O 0.439 0.865 0.000 1
O20 O 0.601 0.101 0.500 1
O21 O 0.320 0.320 0.540 1
Ti6 Ti 0.050 0.550 0.500 1
O22 O 0.280 0.821 0.000 1
Sr3 Sr 0.600 0.600 0.000 1
O23 O 0.561 0.561 0.426 1
Sr4 Sr 0.101 0.101 0.000 1
Ti7 Ti 0.250 0.750 0.500 1
O24 O 0.927 0.927 0.552 1
O25 O 0.821 0.280 0.000 1
La2 La 0.300 0.300 0.000 1
O26 O 0.000 0.500 0.500 1
O27 O 0.375 0.375 0.448 1
Sr5 Sr 0.400 0.400 0.000 1
O28 O 0.101 0.601 0.500 1
Ti8 Ti 0.151 0.651 0.500 1
Sr6 Sr 0.500 0.500 0.000 1
O29 O 0.455 0.047 0.000 1
O30 O 0.399 0.899 0.500 1
Ti9 Ti 0.849 0.349 0.500 1
Ti10 Ti 0.651 0.151 0.500 1

***

[5]
# PBE-GGA NaSr2LaTi4O12, relaxed
# M_tot: 0.00 μB per cell
# space group: P-42m
# polymorph energy (0 for the lowest one): 0.000 eV per atom
# formation enthalpy at 0 K: -3491 meV/atom
data_NaSr2LaTi4O12
_chemical_formula_sum 'Na3 Sr6 La3 Ti12 O36'
_cell_length_a 5.531
_cell_length_b 5.531
_cell_length_c 23.621
_cell_angle_alpha 90.00
_cell_angle_beta 90.00
_cell_angle_gamma 90.00
_space_group_name_H-M_alt 'P 1'
_space_group_IT_number 1
_space_group_name_Hall 'P 1'
loop_
_atom_site_label
_atom_site_type_symbol
_atom_site_fract_x
_atom_site_fract_y
_atom_site_fract_z
_atom_site_occupancy
Sr1 Sr 0.000 0.000 0.000 1
Ti1 Ti 0.000 0.500 0.252 1
O1 O 0.287 0.713 0.581 1
Na1 Na 0.000 0.000 0.500 1
O2 O 0.786 0.786 0.253 1
O3 O 0.214 0.786 0.747 1
O4 O 0.727 0.727 0.749 1
Ti2 Ti 0.500 0.000 0.252 1
O5 O 0.786 0.214 0.415 1
O6 O 0.500 0.000 0.833 1
Ti3 Ti 0.500 0.000 0.916 1
Sr2 Sr 0.000 0.000 0.167 1
Na2 Na 0.500 0.500 0.334 1
O7 O 0.000 0.500 0.500 1
O8 O 0.500 0.000 0.334 1
O9 O 0.214 0.786 0.415 1
O10 O 0.000 0.500 0.000 1
O11 O 0.786 0.786 0.585 1
Ti4 Ti 0.000 0.500 0.748 1
Ti5 Ti 0.500 0.000 0.583 1
O12 O 0.775 0.775 0.917 1
Ti6 Ti 0.500 0.000 0.084 1
O13 O 0.725 0.275 0.916 1
O14 O 0.273 0.727 0.251 1
O15 O 0.713 0.287 0.581 1
Sr3 Sr 0.000 0.000 0.833 1
Sr4 Sr 0.500 0.500 0.168 1
O16 O 0.000 0.500 0.666 1
Ti7 Ti 0.000 0.500 0.084 1
O17 O 0.500 0.000 0.000 1
O18 O 0.000 0.500 0.833 1
Ti8 Ti 0.500 0.000 0.417 1
La1 La 0.000 0.000 0.666 1
O19 O 0.727 0.273 0.251 1
O20 O 0.000 0.500 0.334 1
O21 O 0.500 0.000 0.666 1
La2 La 0.000 0.000 0.334 1
O22 O 0.775 0.225 0.083 1
Ti9 Ti 0.000 0.500 0.916 1
O23 O 0.214 0.214 0.253 1
O24 O 0.713 0.713 0.419 1
Na3 Na 0.500 0.500 0.666 1
Sr5 Sr 0.500 0.500 0.832 1
O25 O 0.287 0.287 0.419 1
Ti10 Ti 0.500 0.000 0.748 1
O26 O 0.214 0.214 0.585 1
O27 O 0.500 0.000 0.167 1
O28 O 0.273 0.273 0.749 1
O29 O 0.275 0.725 0.916 1
O30 O 0.275 0.275 0.084 1
O31 O 0.786 0.214 0.747 1
O32 O 0.225 0.225 0.917 1
Ti11 Ti 0.000 0.500 0.583 1
O33 O 0.725 0.725 0.084 1
Ti12 Ti 0.000 0.500 0.417 1
La3 La 0.500 0.500 0.500 1
Sr6 Sr 0.500 0.500 0.000 1
O34 O 0.500 0.000 0.500 1
O35 O 0.225 0.775 0.083 1
O36 O 0.000 0.500 0.167 1

***

[6]
# PBE-GGA NaSr2LaTi4O12, relaxed
# M_tot: 0.00 μB per cell
# space group: P-42m
# polymorph energy (0 for the lowest one): 0.000 eV per atom
# formation enthalpy at 0 K: -3491 meV/atom
data_NaSr2LaTi4O12
_chemical_formula_sum 'Na1 Sr2 La1 Ti4 O12'
_cell_length_a 5.541
_cell_length_b 5.541
_cell_length_c 7.886
_cell_angle_alpha 90.00
_cell_angle_beta 90.00
_cell_angle_gamma 90.00
_space_group_name_H-M_alt 'P 1'
_space_group_IT_number 1
_space_group_name_Hall 'P 1'
loop_
_atom_site_label
_atom_site_type_symbol
_atom_site_fract_x
_atom_site_fract_y
_atom_site_fract_z
_atom_site_occupancy
Na1 Na 0.500 0.500 0.000 1
La1 La 0.000 0.000 0.000 1
O1 O 0.728 0.272 0.751 1
O2 O 0.500 0.000 0.000 1
Ti1 Ti 0.000 0.500 0.248 1
O3 O 0.728 0.728 0.249 1
O4 O 0.000 0.500 0.000 1
Ti2 Ti 0.000 0.500 0.752 1
O5 O 0.217 0.783 0.246 1
Sr1 Sr 0.000 0.000 0.500 1
O6 O 0.783 0.217 0.246 1
Ti3 Ti 0.500 0.000 0.752 1
O7 O 0.217 0.217 0.754 1
O8 O 0.783 0.783 0.754 1
O9 O 0.500 0.000 0.500 1
Ti4 Ti 0.500 0.000 0.248 1
Sr2 Sr 0.500 0.500 0.500 1
O10 O 0.272 0.728 0.751 1
O11 O 0.272 0.272 0.249 1
O12 O 0.000 0.500 0.500 1